1.
Below is a geometry-optimized SbP4O12 structure, with properties calculated at the PBE level. Values from VASP.

Summary:
**Offset from the most stable computed form**: 0.0065 eV per atom
**Space group**: Pbcn (60)

```
&SYSTEM
  ibrav = 0, nat = 68, ntyp = 3
/
ATOMIC_SPECIES
Sb 121.76 Sb.upf
P 30.97 P.upf
O 16.00 O.upf
CELL_PARAMETERS angstrom
-2.471 5.533 -5.755
-8.368 1.158 4.706
5.319 9.724 7.064
ATOMIC_POSITIONS angstrom
Sb 0.221 5.926 3.903
P -2.539 4.126 4.636
O -8.771 6.435 2.120
O -5.353 2.368 2.336
O 0.486 6.131 1.856
O -1.124 9.552 -1.905
P -0.655 8.696 -3.074
O -1.751 3.379 -1.503
Sb -3.674 3.830 -2.507
O -4.397 6.863 7.920
O -2.720 14.436 4.015
Sb -7.166 2.860 1.458
O -4.610 8.751 2.086
O -3.868 4.247 1.441
O -4.347 8.396 -0.432
O 1.258 11.363 0.013
O -2.800 1.979 2.000
O -3.769 13.036 7.518
O -1.549 4.722 3.638
O -3.949 9.007 9.157
O -6.249 7.099 4.544
P -0.750 11.344 5.580
O -1.492 11.199 6.906
P -6.621 11.082 5.321
O 0.728 9.316 1.471
O -4.903 6.504 1.093
O -6.165 4.473 0.315
P 1.100 5.333 0.694
P -5.105 12.307 7.534
P -3.942 7.833 1.048
O -2.792 11.135 9.664
O 0.645 11.942 5.700
O -7.574 4.366 2.948
O -1.748 12.869 2.184
O -3.006 8.888 4.872
O -0.618 9.910 4.922
O 2.054 12.049 3.067
P -1.618 13.534 3.678
O 3.485 9.331 6.369
P -4.771 5.071 0.435
O 2.046 7.009 4.293
O -7.566 9.405 1.722
P -1.331 5.912 -3.772
P -0.415 4.108 -1.519
P -3.903 2.881 2.337
O -4.028 5.215 -0.891
O -2.454 11.301 0.348
P -2.982 12.289 1.379
P -4.866 7.719 9.089
O -6.779 5.052 6.002
O -0.231 4.833 -0.124
O -1.173 8.019 6.447
O -3.772 3.546 3.831
O -1.652 12.167 4.574
O -1.572 7.408 -3.142
Sb -5.742 10.489 2.112
O -0.167 14.047 3.679
O -6.006 10.284 4.159
O -2.514 7.527 1.143
O -2.729 5.280 -3.649
O -3.971 11.693 2.377
O -9.006 7.083 -0.354
O -0.910 7.663 3.929
P -4.189 10.502 9.787
O -3.066 5.113 5.667
P -1.578 8.581 4.967
O 3.250 9.979 3.895
O -5.289 11.581 6.139
```


2.
Below is a geometry-optimized Mg6VCd structure, with properties calculated at the PBE level. Values from VASP.

Summary:
**Offset from the most stable computed form**: 0.0037 eV per atom

```
&SYSTEM
  ibrav = 0, nat = 16, ntyp = 3
/
ATOMIC_SPECIES
V 50.94 V.upf
Mg 24.30 Mg.upf
Cd 112.41 Cd.upf
CELL_PARAMETERS angstrom
-1.715 -4.134 2.266
-0.467 -2.857 -5.567
10.164 -3.656 1.024
ATOMIC_POSITIONS angstrom
V 8.484 -3.052 0.855
Mg 5.806 -2.839 -0.783
Mg 8.071 -7.573 -2.153
Cd 5.968 -4.523 1.821
Mg 3.222 -4.316 0.118
Mg 8.249 -4.480 -1.929
Mg 8.312 -6.097 0.723
V 3.168 -2.652 -2.441
Cd 0.653 -4.123 -1.475
Mg 5.692 -5.936 -0.967
Mg 0.491 -2.439 -4.079
Mg 0.722 -1.023 -1.319
Mg 3.400 -1.223 0.343
Mg 2.996 -5.697 -2.573
Mg 5.571 -4.279 -3.590
Mg 0.844 -2.679 1.304
```


3.
Below is a geometry-optimized Tb2Si3Pd structure, with properties calculated at the PBE level. Values from VASP.

Summary:
**Space group**: P6_3/mmc (194)

```
&SYSTEM
  ibrav = 0, nat = 24, ntyp = 3
/
ATOMIC_SPECIES
Si 28.09 Si.upf
Tb 158.93 Tb.upf
Pd 106.42 Pd.upf
CELL_PARAMETERS angstrom
-7.386 2.984 -2.069
4.876 -3.276 -5.764
-3.241 -7.119 1.304
ATOMIC_POSITIONS angstrom
Si -6.134 -6.803 -4.282
Tb -1.275 -7.082 -5.661
Tb -2.208 -1.853 -3.547
Tb -0.109 -6.946 -2.020
Si 2.839 -2.259 -5.149
Pd -6.399 -5.913 -2.053
Tb -4.475 -0.330 -0.867
Si -4.870 -6.655 -0.338
Si -8.590 -5.153 -1.379
Pd -5.060 -2.972 -2.592
Si -6.986 -1.630 -2.025
Si 0.383 -0.609 -2.246
Pd 0.648 -1.499 -4.475
Si -1.221 -4.131 -1.601
Si -4.530 -3.280 -4.928
Si -2.485 -4.279 -5.546
Si 1.235 -5.781 -4.504
Tb -5.642 -0.465 -4.509
Pd -0.691 -4.440 -3.937
Tb -2.431 -5.339 0.978
Si -3.266 -3.133 -0.983
Si -0.881 -0.756 -6.191
Tb -3.543 -5.559 -2.981
Tb -0.810 -1.780 0.326
```


4.
Below is a geometry-optimized LaSO5 structure, with properties calculated at the PBE level. Values from VASP.

Summary:
**Space group**: P2_1/c (14)

```
&SYSTEM
  ibrav = 0, nat = 28, ntyp = 3
/
ATOMIC_SPECIES
O 16.00 O.upf
S 32.06 S.upf
La 138.91 La.upf
CELL_PARAMETERS angstrom
12.913 0.000 0.000
0.000 4.642 0.000
0.000 2.638 6.716
ATOMIC_POSITIONS angstrom
O 8.511 2.929 3.717
S 11.072 5.149 5.941
O 9.575 4.380 2.093
La 12.006 4.715 2.043
O 7.378 4.953 2.982
O 1.164 2.869 1.916
O 7.318 3.720 6.317
O 5.535 2.327 3.734
S 4.616 3.451 4.132
O 5.595 3.561 0.398
O 4.402 4.351 2.998
O 11.991 6.273 6.340
La 5.550 1.246 1.314
O 0.861 4.880 3.756
O 5.292 4.188 5.274
O 3.119 1.581 1.264
S 1.840 2.132 0.774
O 7.620 3.092 1.442
S 8.297 3.829 2.583
O 0.921 1.008 0.376
O 12.051 2.401 2.959
La 7.363 6.034 5.401
La 0.906 2.565 4.672
O 3.337 2.900 4.622
O 10.858 1.610 0.359
O 11.749 4.411 4.800
O 9.794 5.699 5.451
O 2.055 5.671 6.356
```


| no. | raw total energy (eV per atom) |
| --- | --- |
| 1 | -6.89 |
| 2 | -2.33 |
| 3 | -6.02 |
| 4 | -6.86 |